[1]
Computed, not measured: a relaxed structure of Y5Mg24 at the PBE level of DFT.

a b c (Å): 11.2775 11.2775 11.2775
angles (deg): 90.00 90.00 90.00
Space group I-43m (No. 217)
Inequivalent atoms, fractional coordinates:
Y (0.0000, 0.0000, 0.0000)
Y (0.1881, 0.1881, 0.8119)
Mg (0.0319, 0.3562, 0.3562)
Mg (0.0900, 0.0900, 0.2808)

Results
- ΔE_f: -0.0541 eV per atom

[2]
Computed, not measured: a relaxed structure of Y2Mg at the PBE level of DFT.

a b c (Å): 12.6615 3.5823 8.0684
angles (deg): 90.00 105.02 90.00
Space group C2/m (No. 12)
Inequivalent atoms, fractional coordinates:
Y (0.1396, 0.0000, 0.0395)
Y (0.1764, 0.0000, 0.6242)
Mg (0.0282, 0.5000, 0.2963)

Results
- Total moment: 0.409 μB per formula unit
- ΔE_f: -0.0338 eV per atom

[3]
Computed, not measured: a relaxed structure of Y11Mg76 at the PBE level of DFT.

a b c (Å): 11.2275 47.7243 9.6849
angles (deg): 90.00 125.39 90.00
Space group Cm (No. 8)
Inequivalent atoms, fractional coordinates:
Y (0.0000, 0.0000, 0.0000)
Y (0.0011, 0.3333, 0.9999)
Y (0.1280, 0.1666, 0.6262)
Y (0.1870, 0.0621, 0.9993)
Y (0.1878, 0.2711, 0.9988)
Y (0.1880, 0.3956, 0.9984)
Mg (0.0013, 0.0000, 0.3684)
Mg (0.0011, 0.3333, 0.3678)
Mg (0.0051, 0.0618, 0.1882)
Mg (0.0061, 0.2715, 0.1895)
Mg (0.0064, 0.3953, 0.1894)
Mg (0.0547, 0.1126, 0.3900)
Mg (0.0548, 0.2207, 0.3896)
Mg (0.0548, 0.4467, 0.3910)
Mg (0.1320, 0.5000, 0.6294)
Mg (0.1610, 0.2801, 0.6066)
Mg (0.1608, 0.3867, 0.6062)
Mg (0.1624, 0.0532, 0.6071)
Mg (0.1819, 0.1666, 0.2857)
Mg (0.1819, 0.5000, 0.2837)
Mg (0.1902, 0.0000, 0.8171)
Mg (0.1909, 0.3333, 0.8175)
Mg (0.2211, 0.1366, 0.0000)
Mg (0.2208, 0.1967, 0.9991)
Mg (0.2210, 0.4697, 0.9988)
Mg (0.2768, 0.0317, 0.3689)
Mg (0.2771, 0.3018, 0.3695)
Mg (0.2775, 0.3649, 0.3699)
Mg (0.3043, 0.4345, 0.3222)
Mg (0.3051, 0.1012, 0.3221)
Mg (0.3051, 0.2320, 0.3220)
Mg (0.3157, 0.1047, 0.8088)
Mg (0.3157, 0.2286, 0.8082)
Mg (0.3164, 0.4380, 0.8093)
Mg (0.3713, 0.0000, 0.1803)
Mg (0.3722, 0.3333, 0.1804)
Mg (0.3939, 0.3332, 0.7151)
Mg (0.3966, 0.0000, 0.7140)
Mg (0.4057, 0.1350, 0.6282)
Mg (0.4059, 0.1984, 0.6286)
Mg (0.4072, 0.4682, 0.6287)
Mg (0.4675, 0.2858, 0.9976)
Mg (0.4677, 0.0475, 0.9982)
Mg (0.4685, 0.3807, 0.9987)
Mg (0.4809, 0.0657, 0.6752)
Mg (0.4819, 0.2680, 0.6747)
Mg (0.4817, 0.3987, 0.6745)

Results
- Total moment: 0.589 μB per formula unit
- ΔE_f: -0.0307 eV per atom

[4]
Computed, not measured: a relaxed structure of Y2Mg at the PBE level of DFT.

a b c (Å): 5.6078 3.5124 18.2574
angles (deg): 90.00 90.00 90.00
Space group Amm2 (No. 38)
Inequivalent atoms, fractional coordinates:
Y (0.0000, 0.0000, 0.0000)
Y (0.0000, 0.0000, 0.3275)
Y (0.0000, 0.0000, 0.6664)
Y (0.5000, 0.0000, 0.8833)
Mg (0.5000, 0.0000, 0.2197)
Mg (0.5000, 0.0000, 0.5549)

Results
- Total moment: 0.631 μB per formula unit
- ΔE_f: 0.0537 eV per atom

[5]
Computed, not measured: a relaxed structure of Y19Mg97 at the PBE level of DFT.

a b c (Å): 32.1136 15.8132 11.2533
angles (deg): 90.00 90.00 90.00
Space group Amm2 (No. 38)
Inequivalent atoms, fractional coordinates:
Y (0.0000, 0.0000, 0.1877)
Y (0.0000, 0.1898, 0.9990)
Y (0.0944, 0.0000, 0.3763)
Y (0.1558, 0.0000, 0.8769)
Y (0.2501, 0.0000, 0.6876)
Y (0.2500, 0.1895, 0.4988)
Y (0.3443, 0.0000, 0.8760)
Y (0.4062, 0.0000, 0.3746)
Y (0.5000, 0.1883, 0.0000)
Mg (0.0000, 0.0896, 0.4660)
Mg (0.0000, 0.1417, 0.7181)
Mg (0.0444, 0.0000, 0.9069)
Mg (0.0474, 0.1843, 0.2763)
Mg (0.0714, 0.0000, 0.6573)
Mg (0.0819, 0.1937, 0.5448)
Mg (0.0923, 0.0953, 0.0980)
Mg (0.0970, 0.1635, 0.8290)
Mg (0.1531, 0.1636, 0.3291)
Mg (0.1578, 0.0953, 0.5978)
Mg (0.1681, 0.1939, 0.0450)
Mg (0.1787, 0.0000, 0.1574)
Mg (0.2027, 0.1842, 0.7764)
Mg (0.2057, 0.0000, 0.4075)
Mg (0.2500, 0.0895, 0.9656)
Mg (0.2500, 0.1416, 0.2182)
Mg (0.2945, 0.0000, 0.4071)
Mg (0.2974, 0.1843, 0.7766)
Mg (0.3216, 0.0000, 0.1576)
Mg (0.3317, 0.1943, 0.0447)
Mg (0.3424, 0.0953, 0.5980)
Mg (0.3469, 0.1632, 0.3294)
Mg (0.4030, 0.1630, 0.8293)
Mg (0.4074, 0.0956, 0.0975)
Mg (0.4183, 0.1937, 0.5444)
Mg (0.4284, 0.0000, 0.6555)
Mg (0.4526, 0.1848, 0.2766)
Mg (0.4555, 0.0000, 0.9064)
Mg (0.5000, 0.0000, 0.1868)
Mg (0.5000, 0.0901, 0.4665)
Mg (0.5000, 0.1423, 0.7193)

Results
- Total moment: 1.183 μB per formula unit
- ΔE_f: -0.0431 eV per atom

[6]
Computed, not measured: a relaxed structure of Y5Mg at the PBE level of DFT.

a b c (Å): 5.6330 3.5905 18.5936
angles (deg): 90.00 90.00 90.00
Space group Amm2 (No. 38)
Inequivalent atoms, fractional coordinates:
Y (0.0000, 0.0000, 0.0000)
Y (0.0000, 0.0000, 0.3303)
Y (0.0000, 0.0000, 0.6626)
Y (0.5000, 0.0000, 0.2173)
Y (0.5000, 0.0000, 0.8851)
Mg (0.5000, 0.0000, 0.5531)

Results
- Energy relative to the lowest polymorph listed for this composition: 25.5 meV/atom
- ΔE_f: 0.0221 eV per atom

[7]
Computed, not measured: a relaxed structure of Y5Mg at the PBE level of DFT.

a b c (Å): 6.2064 6.2064 5.5975
angles (deg): 90.00 90.00 120.00
Space group P-62m (No. 189)
Inequivalent atoms, fractional coordinates:
Y (0.0000, 0.6764, 0.0000)
Y (0.3333, 0.6667, 0.5000)
Mg (0.0000, 0.0000, 0.5000)

Results
- Total moment: 1.802 μB per formula unit
- Energy relative to the lowest polymorph listed for this composition: 38.2 meV/atom
- ΔE_f: 0.0348 eV per atom